No. 1
Below is Na2CaInPS2O12 after structural relaxation, with properties calculated at the PBE level.

Geometry as POSCAR:
```
Na2CaInPS2O12
1.0
7.9199 -4.5879 0.0000
7.9199 4.5879 0.0000
-0.1547 0.0000 23.3577
Na Ca In P S O
12 6 6 6 12 72
direct
0.0026 0.9974 0.5000
0.0321 0.6677 0.0856
0.3209 0.3500 0.1670
0.3280 0.6909 0.9221
0.3500 0.3209 0.6670
0.6383 0.9948 0.2550
0.6677 0.0321 0.5856
0.6706 0.6758 0.3338
0.6758 0.6706 0.8338
0.6909 0.3280 0.4221
0.9948 0.6383 0.7550
0.9974 0.0026 0.0000
0.0054 0.9942 0.1481
0.3175 0.3383 0.3141
0.3383 0.3175 0.8141
0.6641 0.6684 0.4812
0.6684 0.6641 0.9812
0.9942 0.0054 0.6481
0.3312 0.3348 0.0133
0.3348 0.3312 0.5133
0.6568 0.6587 0.6801
0.6587 0.6568 0.1801
0.9827 0.9961 0.8471
0.9961 0.9827 0.3471
0.0339 0.6339 0.9130
0.3675 0.6553 0.0792
0.6339 0.0339 0.4130
0.6553 0.3675 0.5792
0.6987 0.9846 0.7439
0.9846 0.6987 0.2439
0.0347 0.3204 0.4161
0.2961 0.7035 0.7504
0.2998 0.9886 0.2503
0.3204 0.0347 0.9161
0.3230 0.6321 0.4157
0.3679 0.9657 0.5816
0.6321 0.3230 0.9157
0.6535 0.9687 0.0836
0.7035 0.2961 0.2504
0.9657 0.3679 0.0816
0.9687 0.6535 0.5836
0.9886 0.2998 0.7503
0.0013 0.7801 0.1894
0.0089 0.2012 0.6989
0.0195 0.1637 0.4121
0.0311 0.8101 0.9118
0.1129 0.3427 0.3655
0.1206 0.5339 0.8590
0.1332 0.3299 0.7543
0.1339 0.3037 0.4693
0.1357 0.3584 0.0780
0.1363 0.5234 0.2509
0.1374 0.4989 0.5772
0.1457 0.5511 0.9685
0.1637 0.0195 0.9121
0.1733 0.8057 0.4114
0.1869 0.8077 0.0841
0.1905 0.7902 0.7008
0.1999 0.9861 0.5873
0.2012 0.0089 0.1989
0.2164 0.9725 0.3029
0.2223 0.8024 0.8047
0.2943 0.5572 0.4684
0.3037 0.1339 0.9693
0.3057 0.5370 0.7539
0.3299 0.1332 0.2543
0.3421 0.5299 0.3651
0.3427 0.1129 0.8655
0.3454 0.4931 0.0791
0.3584 0.1357 0.5780
0.4469 0.6693 0.0240
0.4486 0.8662 0.5306
0.4654 0.8604 0.9204
0.4684 0.6824 0.7460
0.4717 0.8324 0.2473
0.4760 0.6356 0.1337
0.4758 0.8886 0.6341
0.4794 0.6412 0.4208
0.4931 0.3454 0.5791
0.4989 0.1374 0.0772
0.5234 0.1363 0.7509
0.5299 0.3421 0.8651
0.5339 0.1206 0.3590
0.5370 0.3057 0.2539
0.5511 0.1457 0.4685
0.5572 0.2943 0.9684
0.6312 0.8941 0.1379
0.6356 0.4760 0.6337
0.6412 0.4794 0.9208
0.6598 0.8567 0.4180
0.6693 0.4469 0.5240
0.6793 0.8581 0.0348
0.6824 0.4684 0.2460
0.6946 0.8122 0.7418
0.7801 0.0013 0.6894
0.7902 0.1905 0.2008
0.8024 0.2223 0.3047
0.8057 0.1733 0.9114
0.8058 0.9865 0.0876
0.8077 0.1869 0.5841
0.8101 0.0311 0.4118
0.8122 0.6946 0.2418
0.8174 0.9509 0.7977
0.8324 0.4717 0.7473
0.8567 0.6598 0.9180
0.8581 0.6793 0.5348
0.8604 0.4654 0.4204
0.8662 0.4486 0.0306
0.8886 0.4758 0.1341
0.8941 0.6312 0.6379
0.9509 0.8174 0.2977
0.9725 0.2164 0.8029
0.9861 0.1999 0.0873
0.9865 0.8058 0.5876
```

Results
* formation enthalpy at 0 K: -54.89 kcal/mol of atoms
* corrected total energy (MP2020 scheme): -6.615 eV/atom
* total moment: 0.03 Bohr magnetons per cell
* symmetry: Cc, No. 9


No. 2
Below is Mg2Sn3O8 after structural relaxation, with properties calculated at the PBE level.

Geometry as POSCAR:
```
Mg2Sn3O8
1.0
6.3185 0.0000 0.0000
-3.1592 5.4720 0.0000
0.0000 0.0000 9.5430
Mg Sn O
4 6 16
direct
0.3333 0.6667 0.0000
0.3333 0.6667 0.3750
0.6667 0.3333 0.5000
0.6667 0.3333 0.8750
0.1645 0.3290 0.7138
0.1645 0.8355 0.7138
0.3290 0.1645 0.2138
0.6710 0.8355 0.7138
0.8355 0.1645 0.2138
0.8355 0.6710 0.2138
0.0000 0.0000 0.3273
0.0000 0.0000 0.8273
0.0365 0.5182 0.8410
0.1699 0.3398 0.1124
0.1699 0.8301 0.1124
0.3333 0.6667 0.5937
0.3398 0.1699 0.6124
0.4818 0.5182 0.8410
0.4818 0.9635 0.8410
0.5182 0.0365 0.3410
0.5182 0.4818 0.3410
0.6602 0.8301 0.1124
0.6667 0.3333 0.0937
0.8301 0.1699 0.6124
0.8301 0.6602 0.6124
0.9635 0.4818 0.3410
```

Results
* relative energy among the computed polymorphs: 0.0 meV/atom
* formation enthalpy at 0 K: -54.60 kcal/mol of atoms
* corrected total energy (MP2020 scheme): -6.584 eV/atom
* total moment: 0.00 Bohr magnetons per cell
* symmetry: P6_3mc, No. 186


No. 3
Below is Na3AlP3NO9 after structural relaxation, with properties calculated at the PBE level.

Geometry as POSCAR:
```
Na3AlP3NO9
1.0
9.4068 0.0000 0.0000
0.0000 9.4068 0.0000
0.0000 0.0000 9.4068
Na Al P N O
12 4 12 4 36
direct
0.0507 0.4493 0.5507
0.1414 0.6414 0.8586
0.2402 0.7598 0.2598
0.2598 0.2402 0.7598
0.3586 0.3586 0.3586
0.4493 0.5507 0.0507
0.5507 0.0507 0.4493
0.6414 0.8586 0.1414
0.7402 0.7402 0.7402
0.7598 0.2598 0.2402
0.8586 0.1414 0.6414
0.9493 0.9493 0.9493
0.1675 0.1675 0.1675
0.3325 0.8325 0.6675
0.6675 0.3325 0.8325
0.8325 0.6675 0.3325
0.0108 0.8286 0.5784
0.0784 0.4892 0.1714
0.1714 0.0784 0.4892
0.3286 0.9216 0.9892
0.4216 0.5108 0.6714
0.4892 0.1714 0.0784
0.5108 0.6714 0.4216
0.5784 0.0108 0.8286
0.6714 0.4216 0.5108
0.8286 0.5784 0.0108
0.9216 0.9892 0.3286
0.9892 0.3286 0.9216
0.0574 0.9426 0.4426
0.4426 0.0574 0.9426
0.5574 0.5574 0.5574
0.9426 0.4426 0.0574
0.0144 0.5921 0.2822
0.0596 0.4110 0.8025
0.0890 0.1975 0.5596
0.0921 0.2178 0.9856
0.1205 0.3495 0.2459
0.1505 0.7541 0.6205
0.1975 0.5596 0.0890
0.2178 0.9856 0.0921
0.2459 0.1205 0.3495
0.2541 0.8795 0.8495
0.2822 0.0144 0.5921
0.3025 0.4404 0.5890
0.3495 0.2459 0.1205
0.3795 0.6505 0.7459
0.4079 0.7822 0.4856
0.4110 0.8025 0.0596
0.4404 0.5890 0.3025
0.4856 0.4079 0.7822
0.5144 0.9079 0.7178
0.5596 0.0890 0.1975
0.5890 0.3025 0.4404
0.5921 0.2822 0.0144
0.6205 0.1505 0.7541
0.6505 0.7459 0.3795
0.6975 0.9404 0.9110
0.7178 0.5144 0.9079
0.7459 0.3795 0.6505
0.7541 0.6205 0.1505
0.7822 0.4856 0.4079
0.8025 0.0596 0.4110
0.8495 0.2541 0.8795
0.8795 0.8495 0.2541
0.9079 0.7178 0.5144
0.9110 0.6975 0.9404
0.9404 0.9110 0.6975
0.9856 0.0921 0.2178
```

Results
* formation enthalpy at 0 K: -60.12 kcal/mol of atoms
* corrected total energy (MP2020 scheme): -7.126 eV/atom
* total moment: 0.00 Bohr magnetons per cell
* symmetry: P2_13, No. 198


No. 4
Below is Nd2Si3Ni after structural relaxation, with properties calculated at the PBE level.

Geometry as POSCAR:
```
Nd2Si3Ni
1.0
4.0765 0.0000 0.0000
-2.0382 3.5304 0.0000
0.0000 0.0000 8.4216
Nd Si Ni
2 3 1
direct
0.0000 0.0000 0.2404
0.0000 0.0000 0.7596
0.3333 0.6667 0.5000
0.6667 0.3333 0.0000
0.6667 0.3333 0.5000
0.3333 0.6667 0.0000
```

Results
* formation enthalpy at 0 K: -15.57 kcal/mol of atoms
* total moment: 0.00 Bohr magnetons per cell
* symmetry: P-6m2, No. 187


No. 5
Below is Zn3SbN after structural relaxation, with properties calculated at the PBE level.

Geometry as POSCAR:
```
Zn3SbN
1.0
-2.9410 4.4719 3.0710
2.9410 -4.4719 3.0710
2.9410 4.4719 -3.0710
Zn Sb N
6 2 2
direct
0.2072 0.0000 0.7072
0.2072 0.5000 0.2072
0.3136 0.0636 0.2500
0.6864 0.9364 0.7500
0.7928 0.0000 0.2928
0.7928 0.5000 0.7928
0.2501 0.5001 0.7500
0.7499 0.4999 0.2500
0.0000 0.0000 0.0000
0.5000 0.0000 0.5000
```

Results
* formation enthalpy at 0 K: 4.77 kcal/mol of atoms
* corrected total energy (MP2020 scheme): -3.042 eV/atom
* symmetry: Imma, No. 74


No. 6
Below is ErCr2Fe10 after structural relaxation, with properties calculated at the PBE level.

Geometry as POSCAR:
```
ErCr2Fe10
1.0
-2.3405 4.1815 4.2094
2.3405 -4.1815 4.2094
2.3405 4.1815 -4.2094
Er Cr Fe
1 2 10
direct
0.0000 0.0000 0.0000
0.3669 0.3669 0.0000
0.6331 0.6331 0.0000
0.0000 0.0000 0.5000
0.0000 0.5000 0.0000
0.2252 0.5000 0.7252
0.2267 0.7267 0.5000
0.3591 0.0000 0.3591
0.5000 0.0000 0.0000
0.5000 0.5000 0.5000
0.6409 0.0000 0.6409
0.7733 0.2733 0.5000
0.7748 0.5000 0.2748
```

Results
* formation enthalpy at 0 K: -0.08 kcal/mol of atoms
* total moment: 17.03 Bohr magnetons per cell
* symmetry: Immm, No. 71


No. 7
Below is AgBiO2 after structural relaxation, with properties calculated at the PBE level.

Geometry as POSCAR:
```
AgBiO2
1.0
12.7855 0.0000 0.0000
0.0000 3.6039 0.0000
-0.9597 0.0000 6.6324
Ag Bi O
4 4 8
direct
0.0000 0.0000 0.0000
0.0000 0.5000 0.5000
0.5000 0.0000 0.5000
0.5000 0.5000 0.0000
0.2463 0.0000 0.7390
0.2537 0.5000 0.2610
0.7463 0.5000 0.7390
0.7537 0.0000 0.2610
0.1607 0.0000 0.1165
0.1639 0.5000 0.5170
0.3361 0.0000 0.4830
0.3393 0.5000 0.8835
0.6607 0.5000 0.1165
0.6639 0.0000 0.5170
0.8361 0.5000 0.4830
0.8393 0.0000 0.8835
```

Results
* formation enthalpy at 0 K: -25.98 kcal/mol of atoms
* corrected total energy (MP2020 scheme): -5.281 eV/atom
* total moment: 0.00 Bohr magnetons per cell
* symmetry: C2/m, No. 12


No. 8
Below is SrCaSmSbO6 after structural relaxation, with properties calculated at the PBE level.

Geometry as POSCAR:
```
SrCaSmSbO6
1.0
0.0000 4.2339 4.2339
4.2339 0.0000 4.2339
4.2339 4.2339 0.0000
Sr Ca Sm Sb O
1 1 1 1 6
direct
0.0000 0.0000 0.0000
0.5000 0.5000 0.5000
0.7500 0.7500 0.7500
0.2500 0.2500 0.2500
0.0153 0.0153 0.4847
0.0153 0.4847 0.0153
0.0153 0.4847 0.4847
0.4847 0.0153 0.0153
0.4847 0.0153 0.4847
0.4847 0.4847 0.0153
```

Results
* formation enthalpy at 0 K: -67.32 kcal/mol of atoms
* corrected total energy (MP2020 scheme): -7.142 eV/atom
* total moment: 0.00 Bohr magnetons per cell
* symmetry: F-43m, No. 216


- Among the records above, which one has the lowest formation enthalpy at 0 K?
  SrCaSmSbO6


- The lowest formation enthalpy at 0 K belongs to which entry?
  SrCaSmSbO6


Please write out number 2 again, unchanged.
Below is Mg2Sn3O8 after structural relaxation, with properties calculated at the PBE level.

Geometry as POSCAR:
```
Mg2Sn3O8
1.0
6.3185 0.0000 0.0000
-3.1592 5.4720 0.0000
0.0000 0.0000 9.5430
Mg Sn O
4 6 16
direct
0.3333 0.6667 0.0000
0.3333 0.6667 0.3750
0.6667 0.3333 0.5000
0.6667 0.3333 0.8750
0.1645 0.3290 0.7138
0.1645 0.8355 0.7138
0.3290 0.1645 0.2138
0.6710 0.8355 0.7138
0.8355 0.1645 0.2138
0.8355 0.6710 0.2138
0.0000 0.0000 0.3273
0.0000 0.0000 0.8273
0.0365 0.5182 0.8410
0.1699 0.3398 0.1124
0.1699 0.8301 0.1124
0.3333 0.6667 0.5937
0.3398 0.1699 0.6124
0.4818 0.5182 0.8410
0.4818 0.9635 0.8410
0.5182 0.0365 0.3410
0.5182 0.4818 0.3410
0.6602 0.8301 0.1124
0.6667 0.3333 0.0937
0.8301 0.1699 0.6124
0.8301 0.6602 0.6124
0.9635 0.4818 0.3410
```

Results
* relative energy among the computed polymorphs: 0.0 meV/atom
* formation enthalpy at 0 K: -54.60 kcal/mol of atoms
* corrected total energy (MP2020 scheme): -6.584 eV/atom
* total moment: 0.00 Bohr magnetons per cell
* symmetry: P6_3mc, No. 186